# MgHg3

An optimized crystal structure of MgHg3 (PBE-GGA, Materials Project).

Cell and atoms, written as POSCAR:
```
MgHg3
1.0
3.5110 0.0000 0.0000
0.0000 5.2161 0.0000
0.0000 0.0000 5.3158
Mg Hg
1 3
Direct
0.0000 0.0000 0.0000
0.0000 0.5000 0.6717
0.5000 0.0000 0.4998
0.5000 0.5000 0.1533
```

Calculated values
formation enthalpy at 0 K	-0.2	eV per formula unit
space-group type	Pmm2 (25)

# ScBP2O10

An optimized crystal structure of ScBP2O10 (PBE-GGA, Materials Project).

Cell and atoms, written as POSCAR:
```
ScBP2O10
1.0
9.6172 0.0000 0.0000
-4.8086 8.3288 0.0000
0.0000 0.0000 15.8754
Sc B P O
6 6 12 60
Direct
0.0990 0.5495 0.0833
0.4505 0.5495 0.4167
0.4505 0.9010 0.7500
0.5495 0.0990 0.2500
0.5495 0.4505 0.9167
0.9010 0.4505 0.5833
0.1489 0.2978 0.7500
0.1489 0.8511 0.4167
0.2978 0.1489 0.5833
0.7022 0.8511 0.0833
0.8511 0.1489 0.9167
0.8511 0.7022 0.2500
0.1678 0.3799 0.9180
0.1678 0.7879 0.2486
0.2121 0.3799 0.5820
0.2121 0.8322 0.5847
0.3799 0.1678 0.4153
0.3799 0.2121 0.7514
0.6201 0.7879 0.2514
0.6201 0.8322 0.9153
0.7879 0.1678 0.0847
0.7879 0.6201 0.0820
0.8322 0.2121 0.7486
0.8322 0.6201 0.4180
0.0217 0.2102 0.9369
0.0217 0.8115 0.2297
0.0614 0.3811 0.5518
0.0614 0.6803 0.6149
0.1473 0.5101 0.9619
0.1473 0.6373 0.2048
0.1754 0.4098 0.8206
0.1754 0.7657 0.3460
0.1885 0.2102 0.5631
0.1885 0.9783 0.6036
0.1947 0.4916 0.3830
0.1947 0.7031 0.7837
0.2102 0.0217 0.3964
0.2102 0.1885 0.7703
0.2343 0.4098 0.6794
0.2343 0.8246 0.4873
0.2969 0.4916 0.1170
0.2969 0.8053 0.0496
0.3197 0.3811 0.9482
0.3197 0.9386 0.2184
0.3627 0.5101 0.5381
0.3627 0.8527 0.6286
0.3811 0.0614 0.7816
0.3811 0.3197 0.3851
0.4098 0.1754 0.5127
0.4098 0.2343 0.6540
0.4899 0.6373 0.2952
0.4899 0.8527 0.8714
0.4916 0.1947 0.9504
0.4916 0.2969 0.2163
0.5084 0.7031 0.7163
0.5084 0.8053 0.4504
0.5101 0.1473 0.3714
0.5101 0.3627 0.7952
0.5902 0.7657 0.1540
0.5902 0.8246 0.0127
0.6189 0.6803 0.8851
0.6189 0.9386 0.2816
0.6373 0.1473 0.1286
0.6373 0.4899 0.0381
0.6803 0.0614 0.7184
0.6803 0.6189 0.4482
0.7031 0.1947 0.5496
0.7031 0.5084 0.6170
0.7657 0.1754 0.9873
0.7657 0.5902 0.1794
0.7898 0.8115 0.2703
0.7898 0.9783 0.8964
0.8053 0.2969 0.2837
0.8053 0.5084 0.8830
0.8115 0.0217 0.1036
0.8115 0.7898 0.0631
0.8246 0.2343 0.8460
0.8246 0.5902 0.3206
0.8527 0.3627 0.7048
0.8527 0.4899 0.4619
0.9386 0.3197 0.1149
0.9386 0.6189 0.0518
0.9783 0.1885 0.7297
0.9783 0.7898 0.4369
```

Calculated values
formation enthalpy at 0 K	-32.3	eV per formula unit
space-group type	P6_122 (178)
magnetization	24.00	Bohr magnetons per cell

# RbIn2Au4

An optimized crystal structure of RbIn2Au4 (PBE-GGA, Materials Project).

Cell and atoms, written as POSCAR:
```
RbIn2Au4
1.0
-4.5317 4.5317 4.2180
4.5317 -4.5317 4.2180
4.5317 4.5317 -4.2180
Rb In Au
2 4 8
Direct
0.2500 0.2500 0.0000
0.7500 0.7500 0.0000
0.1414 0.6414 0.7828
0.3586 0.1414 0.5000
0.6414 0.8586 0.5000
0.8586 0.3586 0.2172
0.0128 0.8174 0.5000
0.1826 0.6826 0.1955
0.3174 0.5128 0.5000
0.4872 0.9872 0.8045
0.5128 0.0128 0.1955
0.6826 0.4872 0.5000
0.8174 0.3174 0.8045
0.9872 0.1826 0.5000
```

Calculated values
formation enthalpy at 0 K	-1.9	eV per formula unit
space-group type	I4/mcm (140)

# Y5Si2Sb2

An optimized crystal structure of Y5Si2Sb2 (PBE-GGA, Materials Project).

Cell and atoms, written as POSCAR:
```
Y5Si2Sb2
1.0
7.6010 -3.9342 0.0000
7.6010 3.9342 0.0000
0.0000 0.0000 7.8945
Y Si Sb
10 4 4
Direct
0.0000 0.0000 0.0000
0.0390 0.7089 0.6640
0.2089 0.5390 0.1640
0.2911 0.9610 0.6640
0.4610 0.7911 0.1640
0.5000 0.5000 0.5000
0.5390 0.2089 0.8360
0.7089 0.0390 0.3360
0.7911 0.4610 0.8360
0.9610 0.2911 0.3360
0.1347 0.8653 0.3666
0.3653 0.6347 0.8666
0.6347 0.3653 0.1334
0.8653 0.1347 0.6334
0.2053 0.2053 0.0000
0.2947 0.2947 0.5000
0.7053 0.7053 0.5000
0.7947 0.7947 0.0000
```

Calculated values
formation enthalpy at 0 K	-8.9	eV per formula unit
space-group type	Cmce (64)

# MgSi2

An optimized crystal structure of MgSi2 (PBE-GGA, Materials Project).

Cell and atoms, written as POSCAR:
```
MgSi2
1.0
9.7993 0.0000 0.0000
0.0000 3.7277 0.0000
-1.2996 0.0000 6.3119
Mg Si
4 8
Direct
0.2489 0.0586 0.0851
0.2489 0.4414 0.5851
0.7511 0.5586 0.4149
0.7511 0.9414 0.9149
0.0524 0.5559 0.8518
0.0524 0.9441 0.3518
0.4466 0.5203 0.3174
0.4466 0.9797 0.8174
0.5534 0.0203 0.1826
0.5534 0.4797 0.6826
0.9476 0.0559 0.6482
0.9476 0.4441 0.1482
```

Calculated values
formation enthalpy at 0 K	0.3	eV per formula unit
space-group type	P2_1/c (14)
magnetization	0.00	Bohr magnetons per cell
ΔE to the lowest computed polymorph	26	meV per atom

# NaAlI4

An optimized crystal structure of NaAlI4 (PBE-GGA, Materials Project).

Cell and atoms, written as POSCAR:
```
NaAlI4
1.0
15.1694 0.0000 0.0000
0.0000 8.3951 0.0000
0.0000 0.0000 8.4707
Na Al I
4 4 16
Direct
0.1505 0.2500 0.0541
0.3495 0.7500 0.5541
0.6505 0.2500 0.4459
0.8495 0.7500 0.9459
0.1018 0.7500 0.8033
0.3982 0.2500 0.3033
0.6018 0.7500 0.6967
0.8982 0.2500 0.1967
0.0348 0.2500 0.3720
0.0522 0.7500 0.0929
0.1999 0.5057 0.7445
0.1999 0.9943 0.7445
0.3001 0.0057 0.2445
0.3001 0.4943 0.2445
0.4478 0.2500 0.5929
0.4652 0.7500 0.8720
0.5348 0.2500 0.1280
0.5522 0.7500 0.4071
0.6999 0.5057 0.7555
0.6999 0.9943 0.7555
0.8001 0.0057 0.2555
0.8001 0.4943 0.2555
0.9478 0.2500 0.9071
0.9652 0.7500 0.6280
```

Calculated values
formation enthalpy at 0 K	-6.9	eV per formula unit
space-group type	Pnma (62)

# YMg6Al

An optimized crystal structure of YMg6Al (PBE-GGA, Materials Project).

Cell and atoms, written as POSCAR:
```
YMg6Al
1.0
5.0179 0.0000 0.0000
0.0000 6.5837 0.0000
0.0000 0.0000 11.3226
Mg Al Y
12 2 2
Direct
0.0000 0.0000 0.1645
0.5000 0.5000 0.8326
0.5000 0.7423 0.5806
0.0000 0.2432 0.9184
0.0000 0.7568 0.9184
0.5000 0.7577 0.0806
0.5000 0.0000 0.3326
0.0000 0.2568 0.4184
0.5000 0.2423 0.0806
0.0000 0.5000 0.6645
0.0000 0.7432 0.4184
0.5000 0.2577 0.5806
0.5000 0.0000 0.8309
0.5000 0.5000 0.3309
0.0000 0.5000 0.1740
0.0000 0.0000 0.6740
```

Calculated values
formation enthalpy at 0 K	-0.2	eV per formula unit
magnetization	0.01	Bohr magnetons per cell
ΔE to the lowest computed polymorph	11	meV per atom

# CeSe2

An optimized crystal structure of CeSe2 (PBE-GGA, Materials Project).

Cell and atoms, written as POSCAR:
```
CeSe2
1.0
-8.5255 8.5255 7.2168
8.5255 -8.5255 7.2168
8.5255 8.5255 -7.2168
Ce Se
8 16
Direct
0.0816 0.7932 0.9995
0.2068 0.2063 0.2883
0.2937 0.2932 0.7117
0.4180 0.7063 0.9995
0.5816 0.5820 0.2883
0.7068 0.4184 0.0005
0.7937 0.0820 0.0005
0.9180 0.9184 0.7117
0.0001 0.1854 0.1861
0.1070 0.1070 0.7140
0.1861 0.9999 0.1853
0.2494 0.7494 0.9989
0.2506 0.2494 0.5000
0.3146 0.4999 0.8139
0.3930 0.3930 0.2860
0.4992 0.6854 0.1853
0.5001 0.3139 0.8147
0.6070 0.8930 0.0000
0.6861 0.5008 0.1861
0.7494 0.7506 0.5000
0.7506 0.2506 0.0011
0.8146 0.0008 0.8147
0.8930 0.6070 0.0000
0.9992 0.8139 0.8139
```

Calculated values
formation enthalpy at 0 K	-4.2	eV per formula unit
space-group type	I-4c2 (120)
magnetization	0.00	Bohr magnetons per cell

# K2MoS4

An optimized crystal structure of K2MoS4 (PBE-GGA, Materials Project).

Cell and atoms, written as POSCAR:
```
K2MoS4
1.0
9.5896 0.0000 0.0000
0.0000 6.9802 0.0000
0.0000 0.0000 12.4269
K Mo S
8 4 16
Direct
0.0450 0.2500 0.1635
0.1546 0.7500 0.3905
0.3454 0.2500 0.8905
0.4550 0.7500 0.6635
0.5450 0.2500 0.3365
0.6546 0.7500 0.1095
0.8454 0.2500 0.6095
0.9550 0.7500 0.8365
0.2459 0.7500 0.0668
0.2541 0.2500 0.5668
0.7459 0.7500 0.4332
0.7541 0.2500 0.9332
0.0211 0.7500 0.1072
0.1535 0.5041 0.6362
0.1535 0.9959 0.6362
0.2214 0.2500 0.3911
0.2786 0.7500 0.8911
0.3465 0.0041 0.1362
0.3465 0.4959 0.1362
0.4789 0.2500 0.6072
0.5211 0.7500 0.3928
0.6535 0.5041 0.8638
0.6535 0.9959 0.8638
0.7214 0.2500 0.1089
0.7786 0.7500 0.6089
0.8465 0.0041 0.3638
0.8465 0.4959 0.3638
0.9789 0.2500 0.8928
```

Calculated values
formation enthalpy at 0 K	-8.6	eV per formula unit
space-group type	Pnma (62)

# UI4O15

An optimized crystal structure of UI4O15 (PBE-GGA, Materials Project).

Cell and atoms, written as POSCAR:
```
UI4O15
1.0
8.2053 0.0000 0.0000
0.0000 7.8761 0.0000
0.0000 0.0000 21.1404
U I O
4 16 60
Direct
0.0000 0.0217 0.2500
0.0000 0.9783 0.7500
0.5000 0.4783 0.7500
0.5000 0.5217 0.2500
0.1697 0.0481 0.0579
0.1697 0.9519 0.5579
0.1882 0.3321 0.3773
0.1882 0.6679 0.8773
0.3118 0.1679 0.8773
0.3118 0.8321 0.3773
0.3303 0.4519 0.5579
0.3303 0.5481 0.0579
0.6697 0.4519 0.9421
0.6697 0.5481 0.4421
0.6882 0.1679 0.6227
0.6882 0.8321 0.1227
0.8118 0.3321 0.1227
0.8118 0.6679 0.6227
0.8303 0.0481 0.4421
0.8303 0.9519 0.9421
0.0000 0.2840 0.7500
0.0000 0.7160 0.2500
0.0736 0.2553 0.0748
0.0736 0.7447 0.5748
0.1017 0.4500 0.8740
0.1017 0.5500 0.3740
0.1080 0.2549 0.3016
0.1080 0.7451 0.8016
0.1159 0.0923 0.8410
0.1159 0.9077 0.3410
0.1221 0.3623 0.5560
0.1221 0.6377 0.0560
0.1467 0.0369 0.9707
0.1467 0.9631 0.4707
0.1811 0.0144 0.1997
0.1811 0.9856 0.6997
0.3189 0.4856 0.6997
0.3189 0.5144 0.1997
0.3533 0.4631 0.4707
0.3533 0.5369 0.9707
0.3779 0.1377 0.0560
0.3779 0.8623 0.5560
0.3841 0.4077 0.3410
0.3841 0.5923 0.8410
0.3920 0.2451 0.8016
0.3920 0.7549 0.3016
0.3983 0.0500 0.3740
0.3983 0.9500 0.8740
0.4264 0.2447 0.5748
0.4264 0.7553 0.0748
0.5000 0.2160 0.2500
0.5000 0.7840 0.7500
0.5736 0.2447 0.9252
0.5736 0.7553 0.4252
0.6017 0.0500 0.1260
0.6017 0.9500 0.6260
0.6080 0.2451 0.6984
0.6080 0.7549 0.1984
0.6159 0.4077 0.1590
0.6159 0.5923 0.6590
0.6221 0.1377 0.4440
0.6221 0.8623 0.9440
0.6467 0.4631 0.0293
0.6467 0.5369 0.5293
0.6811 0.4856 0.8003
0.6811 0.5144 0.3003
0.8189 0.0144 0.3003
0.8189 0.9856 0.8003
0.8533 0.0369 0.5293
0.8533 0.9631 0.0293
0.8779 0.3623 0.9440
0.8779 0.6377 0.4440
0.8841 0.0923 0.6590
0.8841 0.9077 0.1590
0.8920 0.2549 0.1984
0.8920 0.7451 0.6984
0.8983 0.4500 0.6260
0.8983 0.5500 0.1260
0.9264 0.2553 0.4252
0.9264 0.7447 0.9252
```

Calculated values
formation enthalpy at 0 K	-21.2	eV per formula unit
space-group type	Pbcn (60)
magnetization	16.46	Bohr magnetons per cell

# Gd2Fe17C3

An optimized crystal structure of Gd2Fe17C3 (PBE-GGA, Materials Project).

Cell and atoms, written as POSCAR:
```
Gd2Fe17C3
1.0
4.3335 2.5020 4.1557
-4.3335 2.5020 4.1557
0.0000 -5.0039 4.1557
Gd Fe C
2 17 3
Direct
0.1610 0.1610 0.1610
0.8390 0.8390 0.8390
0.0000 0.5000 0.5000
0.1552 0.1552 0.6454
0.1552 0.6454 0.1552
0.2155 0.5000 0.7845
0.2155 0.7845 0.5000
0.3546 0.8448 0.8448
0.4054 0.4054 0.4054
0.5000 0.0000 0.5000
0.5000 0.2155 0.7845
0.5000 0.5000 0.0000
0.5000 0.7845 0.2155
0.5946 0.5946 0.5946
0.6454 0.1552 0.1552
0.7845 0.2155 0.5000
0.7845 0.5000 0.2155
0.8448 0.3546 0.8448
0.8448 0.8448 0.3546
0.0000 0.0000 0.5000
0.0000 0.5000 0.0000
0.5000 0.0000 0.0000
```

Calculated values
formation enthalpy at 0 K	-1.2	eV per formula unit
space-group type	R-3m (166)
magnetization	48.55	Bohr magnetons per cell